[1]
# HfScIr2, optimized geometry, DFT r2SCAN
data_HfScIr2
_chemical_formula_sum 'Hf4 Sc4 Ir8'
_cell_length_a 6.484
_cell_length_b 6.484
_cell_length_c 6.484
_cell_angle_alpha 90.00
_cell_angle_beta 90.00
_cell_angle_gamma 90.00
_symmetry_space_group_name_H-M 'F m -3 m'
_symmetry_Int_Tables_number 225
_symmetry_space_group_name_Hall '-F 4 2 3'
loop_
_atom_site_label
_atom_site_fract_x
_atom_site_fract_y
_atom_site_fract_z
Hf1 0.000 0.000 0.000
Sc1 0.000 0.000 0.500
Ir1 0.250 0.250 0.250
# Magnetic moment: 0.00 μB per formula unit
# Formation energy: -1.09 eV/atom

[2]
# PmIn3, optimized geometry, DFT r2SCAN
data_PmIn3
_chemical_formula_sum 'Pm1 In3'
_cell_length_a 4.676
_cell_length_b 4.676
_cell_length_c 4.676
_cell_angle_alpha 90.00
_cell_angle_beta 90.00
_cell_angle_gamma 90.00
_symmetry_space_group_name_H-M 'P m -3 m'
_symmetry_Int_Tables_number 221
_symmetry_space_group_name_Hall '-P 4 2 3'
loop_
_atom_site_label
_atom_site_fract_x
_atom_site_fract_y
_atom_site_fract_z
Pm1 0.000 0.000 0.000
In1 0.000 0.500 0.500
# Magnetic moment: 0.00 μB per formula unit
# Formation energy: -0.58 eV/atom

[3]
# Hf3Si2, optimized geometry, DFT r2SCAN
data_Hf3Si2
_chemical_formula_sum 'Hf6 Si4'
_cell_length_a 6.990
_cell_length_b 6.990
_cell_length_c 3.663
_cell_angle_alpha 90.00
_cell_angle_beta 90.00
_cell_angle_gamma 90.00
_symmetry_space_group_name_H-M 'P 4/m b m'
_symmetry_Int_Tables_number 127
_symmetry_space_group_name_Hall '-P 4 2ab'
loop_
_atom_site_label
_atom_site_fract_x
_atom_site_fract_y
_atom_site_fract_z
Hf1 0.000 0.000 0.000
Hf2 0.173 0.327 0.500
Si1 0.124 0.624 0.000
# Magnetic moment: 0.00 μB per formula unit
# Formation energy: -0.84 eV/atom

[4]
# LuSn2, optimized geometry, DFT r2SCAN
data_LuSn2
_chemical_formula_sum 'Lu4 Sn8'
_cell_length_a 4.325
_cell_length_b 16.265
_cell_length_c 4.280
_cell_angle_alpha 90.00
_cell_angle_beta 90.00
_cell_angle_gamma 90.00
_symmetry_space_group_name_H-M 'C m c m'
_symmetry_Int_Tables_number 63
_symmetry_space_group_name_Hall '-C 2c 2'
loop_
_atom_site_label
_atom_site_fract_x
_atom_site_fract_y
_atom_site_fract_z
Lu1 0.000 0.100 0.250
Sn1 0.000 0.252 0.750
Sn2 0.000 0.437 0.250
# Magnetic moment: 0.00 μB per formula unit
# Formation energy: -0.53 eV/atom

[5]
# NpAl8Cu4, optimized geometry, DFT r2SCAN
data_NpAl8Cu4
_chemical_formula_sum 'Np2 Al16 Cu8'
_cell_length_a 8.763
_cell_length_b 8.763
_cell_length_c 5.062
_cell_angle_alpha 90.00
_cell_angle_beta 90.00
_cell_angle_gamma 90.00
_symmetry_space_group_name_H-M 'I 4/m m m'
_symmetry_Int_Tables_number 139
_symmetry_space_group_name_Hall '-I 4 2'
loop_
_atom_site_label
_atom_site_fract_x
_atom_site_fract_y
_atom_site_fract_z
Np1 0.000 0.000 0.000
Al1 0.000 0.219 0.500
Al2 0.000 0.347 0.000
Cu1 0.250 0.250 0.250
# Magnetic moment: 4.31 μB per formula unit
# Formation energy: -0.31 eV/atom

[6]
# NbSe2, optimized geometry, DFT r2SCAN
data_NbSe2
_chemical_formula_sum 'Nb3 Se6'
_cell_length_a 3.4995
_cell_length_b 3.4995
_cell_length_c 20.1274
_cell_angle_alpha 90.00
_cell_angle_beta 90.00
_cell_angle_gamma 120.00
_symmetry_space_group_name_H-M 'R 3 m'
_symmetry_Int_Tables_number 160
_symmetry_space_group_name_Hall 'R 3 -2"'
loop_
_atom_site_label
_atom_site_fract_x
_atom_site_fract_y
_atom_site_fract_z
Nb1 0.0000 0.0000 0.0000
Se1 0.0000 0.0000 0.2504
Se2 0.0000 0.0000 0.4165
# Magnetic moment: 0.91 μB per formula unit
# Formation energy: -0.98 eV/atom

[7]
# YbGa4Pd7, optimized geometry, DFT r2SCAN
data_YbGa4Pd7
_chemical_formula_sum 'Yb3 Ga12 Pd21'
_cell_length_a 8.443
_cell_length_b 8.443
_cell_length_c 8.443
_cell_angle_alpha 90.00
_cell_angle_beta 90.00
_cell_angle_gamma 90.00
_symmetry_space_group_name_H-M 'P m -3 m'
_symmetry_Int_Tables_number 221
_symmetry_space_group_name_Hall '-P 4 2 3'
loop_
_atom_site_label
_atom_site_fract_x
_atom_site_fract_y
_atom_site_fract_z
Yb1 0.000 0.000 0.500
Ga1 0.260 0.260 0.500
Pd1 0.000 0.343 0.343
Pd2 0.156 0.156 0.156
Pd3 0.500 0.500 0.500
# Magnetic moment: 0.00 μB per formula unit
# Formation energy: -0.38 eV/atom

[8]
# LaMgTl, optimized geometry, DFT r2SCAN
data_LaMgTl
_chemical_formula_sum 'La3 Mg3 Tl3'
_cell_length_a 7.8354
_cell_length_b 7.8354
_cell_length_c 4.8355
_cell_angle_alpha 90.00
_cell_angle_beta 90.00
_cell_angle_gamma 120.00
_symmetry_space_group_name_H-M 'P -6 2 m'
_symmetry_Int_Tables_number 189
_symmetry_space_group_name_Hall 'P -6 -2'
loop_
_atom_site_label
_atom_site_fract_x
_atom_site_fract_y
_atom_site_fract_z
La1 0.0000 0.4240 0.0000
Mg1 0.0000 0.7560 0.5000
Tl1 0.0000 0.0000 0.0000
Tl2 0.3333 0.6667 0.5000
# Magnetic moment: 0.00 μB per formula unit
# Formation energy: -0.48 eV/atom

[9]
# KNb13O33, optimized geometry, DFT r2SCAN
data_KNb13O33
_chemical_formula_sum 'K2 Nb26 O66'
_cell_length_a 22.882
_cell_length_b 3.860
_cell_length_c 15.552
_cell_angle_alpha 90.00
_cell_angle_beta 90.97
_cell_angle_gamma 90.00
_symmetry_space_group_name_H-M 'C 1 2/m 1'
_symmetry_Int_Tables_number 12
loop_
_symmetry_equiv_pos_as_xyz
'x,y,z'
'-x,-y,-z'
'-x,y,-z'
'x,-y,z'
'x+1/2,y+1/2,z'
'-x+1/2,-y+1/2,-z'
'-x+1/2,y+1/2,-z'
'x+1/2,-y+1/2,z'
loop_
_atom_site_label
_atom_site_fract_x
_atom_site_fract_y
_atom_site_fract_z
K1 0.000 0.000 0.000
Nb1 0.000 0.500 0.500
Nb2 0.070 0.500 0.729
Nb3 0.088 0.500 0.178
Nb4 0.139 0.500 0.969
Nb5 0.156 0.500 0.407
Nb6 0.207 0.000 0.128
Nb7 0.224 0.500 0.638
O1 0.000 0.000 0.500
O2 0.012 0.500 0.209
O3 0.034 0.500 0.620
O4 0.070 0.000 0.748
O5 0.073 0.500 0.049
O6 0.082 0.500 0.453
O7 0.099 0.500 0.868
O8 0.112 0.000 0.166
O9 0.130 0.500 0.289
O10 0.153 0.500 0.695
O11 0.154 0.000 0.998
O12 0.180 0.000 0.401
O13 0.183 0.500 0.113
O14 0.195 0.500 0.527
O15 0.223 0.500 0.931
O16 0.234 0.000 0.237
O17 0.249 0.000 0.637
# Magnetic moment: 0.00 μB per formula unit
# Formation energy: -2.73 eV/atom

[10]
# CaMoF5, optimized geometry, DFT r2SCAN
data_CaMoF5
_chemical_formula_sum 'Ca4 Mo4 F20'
_cell_length_a 5.543
_cell_length_b 10.653
_cell_length_c 7.713
_cell_angle_alpha 90.00
_cell_angle_beta 109.41
_cell_angle_gamma 90.00
_symmetry_space_group_name_H-M 'P 1 21/c 1'
_symmetry_Int_Tables_number 14
loop_
_symmetry_equiv_pos_as_xyz
'x,y,z'
'-x,-y,-z'
'-x,y+1/2,-z+1/2'
'x,-y+1/2,z+1/2'
loop_
_atom_site_label
_atom_site_fract_x
_atom_site_fract_y
_atom_site_fract_z
Ca1 0.031 0.018 0.254
Mo1 0.392 0.246 0.602
F1 0.094 0.116 0.554
F2 0.142 0.107 0.999
F3 0.307 0.640 0.357
F4 0.367 0.180 0.344
F5 0.375 0.599 0.796
# Magnetic moment: 3.00 μB per formula unit
# Formation energy: -3.23 eV/atom

[11]
# Yb4Mn2Sn5, optimized geometry, DFT r2SCAN
data_Yb4Mn2Sn5
_chemical_formula_sum 'Yb8 Mn4 Sn10'
_cell_length_a 16.436
_cell_length_b 4.365
_cell_length_c 7.574
_cell_angle_alpha 90.00
_cell_angle_beta 105.82
_cell_angle_gamma 90.00
_symmetry_space_group_name_H-M 'C 1 2/m 1'
_symmetry_Int_Tables_number 12
loop_
_symmetry_equiv_pos_as_xyz
'x,y,z'
'-x,-y,-z'
'-x,y,-z'
'x,-y,z'
'x+1/2,y+1/2,z'
'-x+1/2,-y+1/2,-z'
'-x+1/2,y+1/2,-z'
'x+1/2,-y+1/2,z'
loop_
_atom_site_label
_atom_site_fract_x
_atom_site_fract_y
_atom_site_fract_z
Yb1 0.080 0.000 0.359
Yb2 0.151 0.000 0.927
Mn1 0.224 0.500 0.599
Sn1 0.000 0.500 0.000
Sn2 0.070 0.500 0.658
Sn3 0.192 0.500 0.224
# Magnetic moment: 7.33 μB per formula unit
# Formation energy: -0.58 eV/atom

[12]
# RbPrF4, optimized geometry, DFT r2SCAN
data_RbPrF4
_chemical_formula_sum 'Rb4 Pr4 F16'
_cell_length_a 6.396
_cell_length_b 3.794
_cell_length_c 16.078
_cell_angle_alpha 90.00
_cell_angle_beta 90.00
_cell_angle_gamma 90.00
_symmetry_space_group_name_H-M 'P n m a'
_symmetry_Int_Tables_number 62
loop_
_symmetry_equiv_pos_as_xyz
'x,y,z'
'-x,-y,-z'
'-x+1/2,-y,z+1/2'
'x+1/2,y,-z+1/2'
'x+1/2,-y+1/2,-z+1/2'
'-x+1/2,y+1/2,z+1/2'
'-x,y+1/2,-z'
'x,-y+1/2,z'
loop_
_atom_site_label
_atom_site_fract_x
_atom_site_fract_y
_atom_site_fract_z
Rb1 0.225 0.250 0.201
Pr1 0.248 0.750 0.442
F1 0.000 0.250 0.056
F2 0.095 0.250 0.812
F3 0.109 0.250 0.371
F4 0.134 0.250 0.537
# Magnetic moment: 0.00 μB per formula unit
# Formation energy: -3.96 eV/atom

[13]
# NdAs, optimized geometry, DFT r2SCAN
data_NdAs
_chemical_formula_sum 'Nd4 As4'
_cell_length_a 6.045
_cell_length_b 6.045
_cell_length_c 6.045
_cell_angle_alpha 90.00
_cell_angle_beta 90.00
_cell_angle_gamma 90.00
_symmetry_space_group_name_H-M 'F m -3 m'
_symmetry_Int_Tables_number 225
_symmetry_space_group_name_Hall '-F 4 2 3'
loop_
_atom_site_label
_atom_site_fract_x
_atom_site_fract_y
_atom_site_fract_z
Nd1 0.000 0.000 0.000
As1 0.000 0.000 0.500
# Magnetic moment: 0.00 μB per formula unit
# Formation energy: -1.78 eV/atom

[14]
# HoInRh, optimized geometry, DFT r2SCAN
data_HoInRh
_chemical_formula_sum 'Ho3 In3 Rh3'
_cell_length_a 7.4367
_cell_length_b 7.4367
_cell_length_c 3.9158
_cell_angle_alpha 90.00
_cell_angle_beta 90.00
_cell_angle_gamma 120.00
_symmetry_space_group_name_H-M 'P -6 2 m'
_symmetry_Int_Tables_number 189
_symmetry_space_group_name_Hall 'P -6 -2'
loop_
_atom_site_label
_atom_site_fract_x
_atom_site_fract_y
_atom_site_fract_z
Ho1 0.0000 0.4061 0.0000
In1 0.0000 0.7433 0.5000
Rh1 0.0000 0.0000 0.0000
Rh2 0.3333 0.6667 0.5000
# Magnetic moment: 0.00 μB per formula unit
# Formation energy: -0.85 eV/atom

[15]
# BBr, optimized geometry, DFT r2SCAN
data_BBr
_chemical_formula_sum 'B18 Br18'
_cell_length_a 9.803
_cell_length_b 9.870
_cell_length_c 9.911
_cell_angle_alpha 86.37
_cell_angle_beta 86.18
_cell_angle_gamma 85.66
_symmetry_space_group_name_H-M 'P 1'
_symmetry_Int_Tables_number 1
loop_
_symmetry_equiv_pos_as_xyz
'x,y,z'
loop_
_atom_site_label
_atom_site_fract_x
_atom_site_fract_y
_atom_site_fract_z
B1 0.000 0.000 0.000
B2 0.000 0.134 0.865
B3 0.039 0.964 0.831
B4 0.214 0.562 0.414
B5 0.251 0.390 0.383
B6 0.256 0.522 0.246
B7 0.362 0.500 0.494
B8 0.368 0.633 0.358
B9 0.389 0.383 0.251
B10 0.421 0.348 0.422
B11 0.429 0.551 0.211
B12 0.501 0.495 0.364
B13 0.752 0.025 0.887
B14 0.828 0.967 0.037
B15 0.829 0.174 0.830
B16 0.864 0.136 0.000
B17 0.887 0.889 0.888
B18 0.888 0.024 0.754
Br1 0.052 0.649 0.488
Br2 0.114 0.262 0.419
Br3 0.127 0.558 0.110
Br4 0.133 0.965 0.133
Br5 0.134 0.265 0.830
Br6 0.202 0.882 0.752
Br7 0.380 0.524 0.683
Br8 0.393 0.821 0.378
Br9 0.424 0.247 0.122
Br10 0.497 0.186 0.505
Br11 0.515 0.626 0.051
Br12 0.562 0.004 0.865
Br13 0.691 0.514 0.389
Br14 0.747 0.888 0.198
Br15 0.749 0.336 0.751
Br16 0.829 0.270 0.132
Br17 0.866 0.003 0.566
Br18 0.866 0.701 0.865
# Magnetic moment: 0.00 μB per formula unit
# Formation energy: -0.38 eV/atom

[16]
# PaRh3, optimized geometry, DFT r2SCAN
data_PaRh3
_chemical_formula_sum 'Pa1 Rh3'
_cell_length_a 4.031
_cell_length_b 4.031
_cell_length_c 4.031
_cell_angle_alpha 90.00
_cell_angle_beta 90.00
_cell_angle_gamma 90.00
_symmetry_space_group_name_H-M 'P m -3 m'
_symmetry_Int_Tables_number 221
_symmetry_space_group_name_Hall '-P 4 2 3'
loop_
_atom_site_label
_atom_site_fract_x
_atom_site_fract_y
_atom_site_fract_z
Pa1 0.000 0.000 0.000
Rh1 0.000 0.500 0.500
# Magnetic moment: 0.00 μB per formula unit
# Formation energy: -0.94 eV/atom

[17]
# HoGe2Pt, optimized geometry, DFT r2SCAN
data_HoGe2Pt
_chemical_formula_sum 'Ho8 Ge16 Pt8'
_cell_length_a 16.918
_cell_length_b 8.677
_cell_length_c 4.309
_cell_angle_alpha 90.00
_cell_angle_beta 104.74
_cell_angle_gamma 90.00
_symmetry_space_group_name_H-M 'C 1 2/m 1'
_symmetry_Int_Tables_number 12
loop_
_symmetry_equiv_pos_as_xyz
'x,y,z'
'-x,-y,-z'
'-x,y,-z'
'x,-y,z'
'x+1/2,y+1/2,z'
'-x+1/2,-y+1/2,-z'
'-x+1/2,y+1/2,-z'
'x+1/2,-y+1/2,z'
loop_
_atom_site_label
_atom_site_fract_x
_atom_site_fract_y
_atom_site_fract_z
Ho1 0.000 0.233 0.000
Ho2 0.201 0.000 0.200
Ge1 0.073 0.500 0.576
Ge2 0.074 0.000 0.572
Ge3 0.201 0.349 0.202
Pt1 0.148 0.252 0.649
# Magnetic moment: 0.00 μB per formula unit
# Formation energy: -0.93 eV/atom

The evaluated E for the records listed, in turn: -662.44, -99.59, -314.45, -356.61, -368.62, -168.92, -742.62, -265.62, -1305.98, -285.52, -611.11, -318.28, -190.75, -246.43, -384.62, -153.02, -926.67 eV/cell.